The following is a DFT calculation (PBE) of a relaxed Ca3Pd crystal.

a = 7.6623 Å, b = 9.8133 Å, c = 6.5995 Å
α = 90.00°, β = 90.00°, γ = 90.00°
Last column: nearest neighbours and their distance in Å.
Fractional coordinates of all 16 atoms:
Ca 0.0390 0.2500 0.1382  2 Pd 2.89-2.99
Ca 0.1722 0.0655 0.6625  2 Pd 2.97-3.06
Ca 0.1722 0.4345 0.6625  2 Pd 2.97-3.06
Ca 0.3278 0.5655 0.1625  2 Pd 2.97-3.06
Ca 0.3278 0.9345 0.1625  2 Pd 2.97-3.06
Ca 0.4610 0.7500 0.6382  2 Pd 2.89-2.99
Ca 0.5390 0.2500 0.3618  2 Pd 2.89-2.99
Ca 0.6722 0.0655 0.8375  2 Pd 2.97-3.06
Ca 0.6722 0.4345 0.8375  2 Pd 2.97-3.06
Ca 0.8278 0.5655 0.3375  2 Pd 2.97-3.06
Ca 0.8278 0.9345 0.3375  2 Pd 2.97-3.06
Ca 0.9610 0.7500 0.8618  2 Pd 2.89-2.99
Pd 0.1205 0.7500 0.4489  6 Ca 2.89-3.06
Pd 0.3795 0.2500 0.9489  6 Ca 2.89-3.06
Pd 0.6205 0.7500 0.0511  6 Ca 2.89-3.06
Pd 0.8795 0.2500 0.5511  6 Ca 2.89-3.06

- formation energy (eV/atom) = -0.44

---

The following is a DFT calculation (PBE) of a relaxed Ca4Pd crystal.

a = 8.2543 Å, b = 8.2543 Å, c = 8.2543 Å
α = 60.00°, β = 60.00°, γ = 60.00°
Last column: nearest neighbours and their distance in Å.
Fractional coordinates of all 10 atoms:
Ca 0.2226 0.7591 0.7591  1 Pd 2.71
Ca 0.2409 0.2409 0.2409  1 Pd 2.71
Ca 0.2409 0.2409 0.7774  1 Pd 2.71
Ca 0.2409 0.7774 0.2409  1 Pd 2.71
Ca 0.7591 0.2226 0.7591  1 Pd 2.71
Ca 0.7591 0.7591 0.2226  1 Pd 2.71
Ca 0.7591 0.7591 0.7591  1 Pd 2.71
Ca 0.7774 0.2409 0.2409  1 Pd 2.71
Pd 0.3750 0.3750 0.3750  4 Ca 2.71
Pd 0.6250 0.6250 0.6250  4 Ca 2.71

- formation energy (eV/atom) = -0.04

---

The following is a DFT calculation (PBE) of a relaxed CaPd2 crystal.

a = 5.4832 Å, b = 5.4832 Å, c = 5.4832 Å
α = 60.00°, β = 60.00°, γ = 60.00°
Last column: nearest neighbours and their distance in Å.
Fractional coordinates of all 6 atoms:
Ca 0.1250 0.1250 0.1250  12 Pd 3.21, 4 Ca 3.36
Ca 0.8750 0.8750 0.8750  12 Pd 3.21, 4 Ca 3.36
Pd 0.0000 0.5000 0.5000  6 Pd 2.74
Pd 0.5000 0.0000 0.5000  6 Pd 2.74
Pd 0.5000 0.5000 0.0000  6 Pd 2.74
Pd 0.5000 0.5000 0.5000  6 Pd 2.74

- formation energy (eV/atom) = -0.69

---

The following is a DFT calculation (PBE) of a relaxed CaPmPd2 crystal.

a = 5.0463 Å, b = 5.0463 Å, c = 5.0463 Å
α = 60.00°, β = 60.00°, γ = 60.00°
Last column: nearest neighbours and their distance in Å.
Fractional coordinates of all 4 atoms:
Ca 0.0000 0.0000 0.0000  8 Pd 3.09
Pm 0.5000 0.5000 0.5000  8 Pd 3.09
Pd 0.2500 0.2500 0.2500  4 Ca 3.09, 4 Pm 3.09
Pd 0.7500 0.7500 0.7500  4 Ca 3.09, 4 Pm 3.09

- formation energy (eV/atom) = -0.75

---

The following is a DFT calculation (PBE) of a relaxed Ca2Sb4Pd3 crystal.

a = 21.3881 Å, b = 21.3881 Å, c = 21.3881 Å
α = 167.88°, β = 167.88°, γ = 17.17°
Last column: nearest neighbours and their distance in Å.
Fractional coordinates of all 18 atoms:
Ca 0.0555 0.0555 0.0000  4 Pd 3.26, 8 Sb 3.28-3.48
Ca 0.1875 0.1875 0.0000  8 Sb 3.41-3.70, 8 Pd 3.48-3.49
Ca 0.8125 0.8125 0.0000  8 Sb 3.41-3.70, 8 Pd 3.48-3.49
Ca 0.9445 0.9445 0.0000  4 Pd 3.26, 8 Sb 3.28-3.48
Sb 0.1182 0.6182 0.5000  2 Pd 2.72
Sb 0.2844 0.2844 0.0000  5 Pd 2.61-2.69
Sb 0.3818 0.8818 0.5000  2 Pd 2.72
Sb 0.4628 0.4628 0.0000  4 Pd 2.75
Sb 0.5372 0.5372 0.0000  4 Pd 2.75
Sb 0.6182 0.1182 0.5000  2 Pd 2.72
Sb 0.7156 0.7156 0.0000  5 Pd 2.61-2.69
Sb 0.8818 0.3818 0.5000  2 Pd 2.72
Pd 0.0000 0.5000 0.5000  4 Sb 2.75
Pd 0.2500 0.7500 0.5000  4 Sb 2.69
Pd 0.3461 0.3461 0.0000  5 Sb 2.61-2.72
Pd 0.5000 0.0000 0.5000  4 Sb 2.75
Pd 0.6539 0.6539 0.0000  5 Sb 2.61-2.72
Pd 0.7500 0.2500 0.5000  4 Sb 2.69

- formation energy (eV/atom) = -0.74

---

The following is a DFT calculation (PBE) of a relaxed CaSbPd2 crystal.

a = 4.8039 Å, b = 4.8039 Å, c = 4.8039 Å
α = 60.00°, β = 60.00°, γ = 60.00°
Last column: nearest neighbours and their distance in Å.
Fractional coordinates of all 4 atoms:
Ca 0.0000 0.0000 0.0000  8 Pd 2.94
Sb 0.5000 0.5000 0.5000  8 Pd 2.94
Pd 0.2500 0.2500 0.2500  4 Sb 2.94, 4 Ca 2.94
Pd 0.7500 0.7500 0.7500  4 Sb 2.94, 4 Ca 2.94

- formation energy (eV/atom) = -0.70

---

The following is a DFT calculation (PBE) of a relaxed CaSiPd crystal.

a = 5.9128 Å, b = 5.7687 Å, c = 7.8039 Å
α = 90.00°, β = 116.19°, γ = 90.00°
Last column: nearest neighbours and their distance in Å.
Fractional coordinates of all 12 atoms:
Ca 0.2027 0.1267 0.3840  5 Pd 2.96-3.31, 5 Si 3.03-3.18
Ca 0.2027 0.3733 0.8840  5 Pd 2.96-3.31, 5 Si 3.03-3.18
Ca 0.7973 0.6267 0.1160  5 Pd 2.96-3.31, 5 Si 3.03-3.18
Ca 0.7973 0.8733 0.6160  5 Pd 2.96-3.31, 5 Si 3.03-3.18
Si 0.2155 0.6171 0.5446  3 Pd 2.43-2.49, 1 Si 2.69
Si 0.2155 0.8829 0.0446  3 Pd 2.43-2.49, 1 Si 2.69
Si 0.7845 0.1171 0.9554  3 Pd 2.43-2.49, 1 Si 2.69
Si 0.7845 0.3829 0.4554  3 Pd 2.43-2.49, 1 Si 2.69
Pd 0.3868 0.6118 0.3102  3 Si 2.43-2.49
Pd 0.3868 0.8882 0.8102  3 Si 2.43-2.49
Pd 0.6132 0.1118 0.1898  3 Si 2.43-2.49
Pd 0.6132 0.3882 0.6898  3 Si 2.43-2.49

- formation energy (eV/atom) = -0.79

---

The following is a DFT calculation (PBE) of a relaxed CaSi2Pd2 crystal.

a = 5.7651 Å, b = 5.7651 Å, c = 5.7651 Å
α = 136.71°, β = 136.71°, γ = 62.89°
Last column: nearest neighbours and their distance in Å.
Fractional coordinates of all 5 atoms:
Ca 0.0000 0.0000 0.0000  8 Si 3.24, 8 Pd 3.25
Si 0.3784 0.3784 0.0000  1 Si 2.39, 4 Pd 2.47
Si 0.6216 0.6216 0.0000  1 Si 2.39, 4 Pd 2.47
Pd 0.2500 0.7500 0.5000  4 Si 2.47
Pd 0.7500 0.2500 0.5000  4 Si 2.47

- formation energy (eV/atom) = -0.80

---

The following is a DFT calculation (PBE) of a relaxed CaSnPd crystal.

a = 7.3812 Å, b = 4.6303 Å, c = 8.1344 Å
α = 90.00°, β = 90.00°, γ = 90.00°
Last column: nearest neighbours and their distance in Å.
Fractional coordinates of all 12 atoms:
Ca 0.0202 0.2500 0.1860  5 Pd 3.12-3.30, 6 Sn 3.31-3.41
Ca 0.4798 0.7500 0.6860  5 Pd 3.12-3.30, 6 Sn 3.31-3.41
Ca 0.5202 0.2500 0.3140  5 Pd 3.12-3.30, 6 Sn 3.31-3.41
Ca 0.9798 0.7500 0.8140  5 Pd 3.12-3.30, 6 Sn 3.31-3.41
Sn 0.1654 0.2500 0.5708  4 Pd 2.74-2.81
Sn 0.3346 0.7500 0.0708  4 Pd 2.74-2.81
Sn 0.6654 0.2500 0.9292  4 Pd 2.74-2.81
Sn 0.8346 0.7500 0.4292  4 Pd 2.74-2.81
Pd 0.2125 0.7500 0.3893  4 Sn 2.74-2.81
Pd 0.2875 0.2500 0.8893  4 Sn 2.74-2.81
Pd 0.7125 0.7500 0.1107  4 Sn 2.74-2.81
Pd 0.7875 0.2500 0.6107  4 Sn 2.74-2.81

- formation energy (eV/atom) = -0.81

---

The following is a DFT calculation (PBE) of a relaxed CaTbPd2 crystal.

a = 4.9832 Å, b = 4.9832 Å, c = 4.9832 Å
α = 60.00°, β = 60.00°, γ = 60.00°
Last column: nearest neighbours and their distance in Å.
Fractional coordinates of all 4 atoms:
Ca 0.0000 0.0000 0.0000  8 Pd 3.05
Tb 0.5000 0.5000 0.5000  8 Pd 3.05
Pd 0.2500 0.2500 0.2500  4 Tb 3.05, 4 Ca 3.05
Pd 0.7500 0.7500 0.7500  4 Tb 3.05, 4 Ca 3.05

- formation energy (eV/atom) = -0.78

---

The following is a DFT calculation (PBE) of a relaxed CaTmPd2 crystal.

a = 4.9330 Å, b = 4.9330 Å, c = 4.9330 Å
α = 60.00°, β = 60.00°, γ = 60.00°
Last column: nearest neighbours and their distance in Å.
Fractional coordinates of all 4 atoms:
Ca 0.0000 0.0000 0.0000  8 Pd 3.02
Tm 0.5000 0.5000 0.5000  8 Pd 3.02
Pd 0.2500 0.2500 0.2500  4 Ca 3.02, 4 Tm 3.02
Pd 0.7500 0.7500 0.7500  4 Ca 3.02, 4 Tm 3.02

- formation energy (eV/atom) = -0.80

---

The following is a DFT calculation (PBE) of a relaxed CaZnPd crystal.

a = 7.1637 Å, b = 4.4907 Å, c = 7.6962 Å
α = 90.00°, β = 90.00°, γ = 90.00°
Last column: nearest neighbours and their distance in Å.
Fractional coordinates of all 12 atoms:
Ca 0.0115 0.2500 0.1926  5 Pd 3.03-3.21, 6 Zn 3.13-3.35
Ca 0.4885 0.7500 0.6926  5 Pd 3.03-3.21, 6 Zn 3.13-3.35
Ca 0.5115 0.2500 0.3074  5 Pd 3.03-3.21, 6 Zn 3.13-3.35
Ca 0.9885 0.7500 0.8074  5 Pd 3.03-3.21, 6 Zn 3.13-3.35
Zn 0.1658 0.2500 0.5760  4 Pd 2.64-2.68
Zn 0.3342 0.7500 0.0760  4 Pd 2.64-2.68
Zn 0.6658 0.2500 0.9240  4 Pd 2.64-2.68
Zn 0.8342 0.7500 0.4240  4 Pd 2.64-2.68
Pd 0.2074 0.7500 0.3979  4 Zn 2.64-2.68
Pd 0.2926 0.2500 0.8979  4 Zn 2.64-2.68
Pd 0.7074 0.7500 0.1021  4 Zn 2.64-2.68
Pd 0.7926 0.2500 0.6021  4 Zn 2.64-2.68

- formation energy (eV/atom) = -0.64

---

The following is a DFT calculation (PBE) of a relaxed CaZrPd crystal.

a = 4.6760 Å, b = 4.6760 Å, c = 4.6760 Å
α = 60.00°, β = 60.00°, γ = 60.00°
Last column: nearest neighbours and their distance in Å.
Fractional coordinates of all 3 atoms:
Ca 0.0000 0.0000 0.0000  4 Zr 2.86, 4 Pd 2.86
Zr 0.2500 0.2500 0.2500  4 Ca 2.86
Pd 0.7500 0.7500 0.7500  4 Ca 2.86

- formation energy (eV/atom) = 0.76

---

The following is a DFT calculation (PBE) of a relaxed Ca3Pm crystal.

a = 6.0390 Å, b = 6.0390 Å, c = 6.0390 Å
α = 60.00°, β = 60.00°, γ = 60.00°
Last column: nearest neighbours and their distance in Å.
Fractional coordinates of all 4 atoms:
Ca 0.0000 0.0000 0.0000  8 Ca 3.70
Ca 0.2500 0.2500 0.2500  4 Ca 3.70, 4 Pm 3.70
Ca 0.7500 0.7500 0.7500  4 Ca 3.70, 4 Pm 3.70
Pm 0.5000 0.5000 0.5000  8 Ca 3.70

- formation energy (eV/atom) = 0.10

---

The following is a DFT calculation (PBE) of a relaxed CaPm3 crystal.

a = 7.4443 Å, b = 7.4443 Å, c = 5.9730 Å
α = 90.00°, β = 90.00°, γ = 120.00°
Last column: nearest neighbours and their distance in Å.
Fractional coordinates of all 8 atoms:
Ca 0.3333 0.6667 0.2500  12 Pm 3.70-3.72
Ca 0.6667 0.3333 0.7500  12 Pm 3.70-3.72
Pm 0.1644 0.3288 0.7500  8 Pm 3.66-3.77, 4 Ca 3.70-3.72
Pm 0.1644 0.8356 0.7500  8 Pm 3.66-3.77, 4 Ca 3.70-3.72
Pm 0.3288 0.1644 0.2500  8 Pm 3.66-3.77, 4 Ca 3.70-3.72
Pm 0.6712 0.8356 0.7500  8 Pm 3.66-3.77, 4 Ca 3.70-3.72
Pm 0.8356 0.1644 0.2500  8 Pm 3.66-3.77, 4 Ca 3.70-3.72
Pm 0.8356 0.6712 0.2500  8 Pm 3.66-3.77, 4 Ca 3.70-3.72

- formation energy (eV/atom) = 0.10

---

The following is a DFT calculation (PBE) of a relaxed CaPmRh2 crystal.

a = 4.9117 Å, b = 4.9117 Å, c = 4.9117 Å
α = 60.00°, β = 60.00°, γ = 60.00°
Last column: nearest neighbours and their distance in Å.
Fractional coordinates of all 4 atoms:
Ca 0.0000 0.0000 0.0000  8 Rh 3.01
Pm 0.5000 0.5000 0.5000  8 Rh 3.01
Rh 0.2500 0.2500 0.2500  4 Pm 3.01, 4 Ca 3.01
Rh 0.7500 0.7500 0.7500  4 Pm 3.01, 4 Ca 3.01

- formation energy (eV/atom) = -0.53

---

The following is a DFT calculation (PBE) of a relaxed CaPmZn2 crystal.

a = 5.1874 Å, b = 5.1874 Å, c = 5.1874 Å
α = 60.00°, β = 60.00°, γ = 60.00°
Last column: nearest neighbours and their distance in Å.
Fractional coordinates of all 4 atoms:
Ca 0.0000 0.0000 0.0000  8 Zn 3.18
Pm 0.5000 0.5000 0.5000  8 Zn 3.18
Zn 0.2500 0.2500 0.2500  4 Pm 3.18, 4 Ca 3.18
Zn 0.7500 0.7500 0.7500  4 Pm 3.18, 4 Ca 3.18

- formation energy (eV/atom) = -0.31

---

The following is a DFT calculation (PBE) of a relaxed CaPr3 crystal.

a = 7.5413 Å, b = 7.5413 Å, c = 6.0689 Å
α = 90.00°, β = 90.00°, γ = 120.00°
Last column: nearest neighbours and their distance in Å.
Fractional coordinates of all 8 atoms:
Ca 0.3333 0.6667 0.2500  12 Pr 3.75-3.77
Ca 0.6667 0.3333 0.7500  12 Pr 3.75-3.77
Pr 0.1649 0.3298 0.7500  8 Pr 3.72-3.81, 4 Ca 3.75-3.77
Pr 0.1649 0.8351 0.7500  8 Pr 3.72-3.81, 4 Ca 3.75-3.77
Pr 0.3298 0.1649 0.2500  8 Pr 3.72-3.81, 4 Ca 3.75-3.77
Pr 0.6702 0.8351 0.7500  8 Pr 3.72-3.81, 4 Ca 3.75-3.77
Pr 0.8351 0.1649 0.2500  8 Pr 3.72-3.81, 4 Ca 3.75-3.77
Pr 0.8351 0.6702 0.2500  8 Pr 3.72-3.81, 4 Ca 3.75-3.77

- formation energy (eV/atom) = 0.08

---

The following is a DFT calculation (PBE) of a relaxed CaPrRh2 crystal.

a = 4.9534 Å, b = 4.9534 Å, c = 4.9534 Å
α = 60.00°, β = 60.00°, γ = 60.00°
Last column: nearest neighbours and their distance in Å.
Fractional coordinates of all 4 atoms:
Ca 0.0000 0.0000 0.0000  8 Rh 3.03
Pr 0.5000 0.5000 0.5000  8 Rh 3.03
Rh 0.2500 0.2500 0.2500  4 Pr 3.03, 4 Ca 3.03
Rh 0.7500 0.7500 0.7500  4 Pr 3.03, 4 Ca 3.03

- formation energy (eV/atom) = -0.49

---

The following is a DFT calculation (PBE) of a relaxed CaPr8Se12 crystal.

a = 9.0132 Å, b = 9.0132 Å, c = 14.9180 Å
α = 107.55°, β = 107.55°, γ = 90.04°
Last column: nearest neighbours and their distance in Å.
Fractional coordinates of all 42 atoms:
Ca 0.1874 0.8126 0.5000  8 Se 3.01-3.24
Ca 0.8126 0.1874 0.0000  8 Se 3.01-3.24
Pr 0.1033 0.8555 0.0837  8 Se 3.02-3.22
Pr 0.1069 0.9794 0.8335  8 Se 3.03-3.23
Pr 0.1451 0.5191 0.6657  8 Se 3.02-3.22
Pr 0.1872 0.4382 0.2501  8 Se 3.03-3.21
Pr 0.3125 0.4347 0.0000  8 Se 3.03-3.22
Pr 0.4347 0.3125 0.5000  8 Se 3.03-3.22
Pr 0.4382 0.1872 0.7501  8 Se 3.03-3.21
Pr 0.4775 0.8545 0.3342  8 Se 3.01-3.22
Pr 0.5191 0.1451 0.1657  8 Se 3.02-3.22
Pr 0.5206 0.7734 0.9168  8 Se 3.03-3.22
Pr 0.6438 0.7727 0.6668  8 Se 3.02-3.23
Pr 0.7734 0.5206 0.4168  8 Se 3.03-3.22
Pr 0.7727 0.6438 0.1668  8 Se 3.02-3.23
Pr 0.8545 0.4775 0.8342  8 Se 3.01-3.22
Pr 0.8555 0.1033 0.5837  8 Se 3.02-3.22
Pr 0.9794 0.1069 0.3335  8 Se 3.03-3.23
Se 0.0136 0.5156 0.0498  5 Pr 3.01-3.21, 1 Ca 3.23
Se 0.1147 0.4653 0.4507  1 Ca 3.01, 5 Pr 3.02-3.21
Se 0.1287 0.2796 0.7828  6 Pr 3.04-3.19
Se 0.1286 0.7793 0.2849  1 Ca 3.01, 5 Pr 3.03-3.22
Se 0.1595 0.1642 0.0497  1 Ca 3.01, 5 Pr 3.04-3.21
Se 0.1642 0.1595 0.5497  1 Ca 3.01, 5 Pr 3.04-3.21
Se 0.1800 0.6793 0.8834  6 Pr 3.03-3.22
Se 0.2796 0.1287 0.2828  6 Pr 3.04-3.19
Se 0.3434 0.8458 0.7160  1 Ca 3.02, 5 Pr 3.03-3.21
Se 0.4451 0.7961 0.1170  6 Pr 3.03-3.23
Se 0.4653 0.1147 0.9507  1 Ca 3.01, 5 Pr 3.02-3.21
Se 0.4659 0.6105 0.4499  5 Pr 3.03-3.21, 1 Ca 3.24
Se 0.4953 0.4954 0.2163  6 Pr 3.03-3.22
Se 0.4954 0.4953 0.7163  6 Pr 3.03-3.22
Se 0.5156 0.0136 0.5498  5 Pr 3.01-3.21, 1 Ca 3.23
Se 0.6105 0.4659 0.9499  5 Pr 3.03-3.21, 1 Ca 3.24
Se 0.6793 0.1800 0.3834  6 Pr 3.03-3.22
Se 0.7793 0.1286 0.7849  1 Ca 3.01, 5 Pr 3.03-3.22
Se 0.7961 0.4451 0.6170  6 Pr 3.03-3.23
Se 0.7962 0.9428 0.1178  5 Pr 3.02-3.22, 1 Ca 3.23
Se 0.8251 0.8287 0.3820  5 Pr 3.02-3.23, 1 Ca 3.24
Se 0.8287 0.8251 0.8820  5 Pr 3.02-3.23, 1 Ca 3.24
Se 0.8458 0.3434 0.2160  1 Ca 3.02, 5 Pr 3.03-3.21
Se 0.9428 0.7962 0.6178  5 Pr 3.02-3.22, 1 Ca 3.23

- formation energy (eV/atom) = -2.15